Record 1
Crystalline Na3Nb34Al2O64 at its relaxed geometry, computed with PBE.

**Total energy**: -919.37 eV per cell
**Symmetry**: R-3
**ΔH_f (0 K)**: -2833 meV per atom

abc: 24.382 24.382 24.382
angles: 18.72 18.72 18.72
Positions (direct):
Na  0.000  0.000  0.000
Na  0.437  0.437  0.437
Na  0.563  0.563  0.563
Nb  0.017  0.477  0.154
Nb  0.059  0.882  0.304
Nb  0.062  0.371  0.520
Nb  0.074  0.241  0.832
Nb  0.118  0.696  0.941
Nb  0.152  0.152  0.152
Nb  0.154  0.017  0.477
Nb  0.168  0.926  0.759
Nb  0.241  0.832  0.074
Nb  0.290  0.702  0.459
Nb  0.298  0.541  0.710
Nb  0.304  0.059  0.882
Nb  0.371  0.520  0.062
Nb  0.383  0.383  0.383
Nb  0.459  0.290  0.702
Nb  0.477  0.154  0.017
Nb  0.480  0.938  0.629
Nb  0.520  0.062  0.371
Nb  0.523  0.846  0.983
Nb  0.541  0.710  0.298
Nb  0.617  0.617  0.617
Nb  0.629  0.480  0.938
Nb  0.696  0.941  0.118
Nb  0.702  0.459  0.290
Nb  0.710  0.298  0.541
Nb  0.759  0.168  0.926
Nb  0.832  0.074  0.241
Nb  0.846  0.983  0.523
Nb  0.848  0.848  0.848
Nb  0.882  0.304  0.059
Nb  0.926  0.759  0.168
Nb  0.938  0.629  0.480
Nb  0.941  0.118  0.696
Nb  0.983  0.523  0.846
Al  0.275  0.275  0.275
Al  0.725  0.725  0.725
O  0.003  0.835  0.257
O  0.009  0.726  0.573
O  0.035  0.625  0.935
O  0.065  0.965  0.375
O  0.073  0.763  0.664
O  0.112  0.509  0.184
O  0.126  0.435  0.541
O  0.133  0.302  0.863
O  0.137  0.867  0.698
O  0.152  0.577  0.270
O  0.165  0.743  0.997
O  0.184  0.112  0.509
O  0.203  0.203  0.203
O  0.236  0.498  0.664
O  0.237  0.336  0.927
O  0.238  0.635  0.325
O  0.257  0.003  0.835
O  0.270  0.152  0.577
O  0.274  0.427  0.991
O  0.300  0.300  0.300
O  0.302  0.863  0.133
O  0.325  0.238  0.635
O  0.336  0.764  0.502
O  0.336  0.927  0.237
O  0.365  0.675  0.762
O  0.375  0.065  0.965
O  0.423  0.730  0.848
O  0.427  0.991  0.274
O  0.435  0.541  0.126
O  0.459  0.874  0.565
O  0.491  0.816  0.888
O  0.498  0.664  0.236
O  0.502  0.336  0.764
O  0.509  0.184  0.112
O  0.541  0.126  0.435
O  0.565  0.459  0.874
O  0.573  0.009  0.726
O  0.577  0.270  0.152
O  0.625  0.935  0.035
O  0.635  0.325  0.238
O  0.664  0.073  0.763
O  0.664  0.236  0.498
O  0.675  0.762  0.365
O  0.698  0.137  0.867
O  0.700  0.700  0.700
O  0.726  0.573  0.009
O  0.730  0.848  0.423
O  0.743  0.997  0.165
O  0.762  0.365  0.675
O  0.763  0.664  0.073
O  0.764  0.502  0.336
O  0.797  0.797  0.797
O  0.816  0.888  0.491
O  0.835  0.257  0.003
O  0.848  0.423  0.730
O  0.863  0.133  0.302
O  0.867  0.698  0.137
O  0.874  0.565  0.459
O  0.888  0.491  0.816
O  0.927  0.237  0.336
O  0.935  0.035  0.625
O  0.965  0.375  0.065
O  0.991  0.274  0.427
O  0.997  0.165  0.743


Record 2
Crystalline TbIn5Rh at its relaxed geometry, computed with PBE.

**Total energy**: -28.64 eV per cell
**Symmetry**: P4/mmm
**ΔH_f (0 K)**: -412 meV per atom

abc: 4.670 4.670 7.568
angles: 90.00 90.00 90.00
Positions (direct):
Tb  0.000  0.000  0.000
In  0.000  0.500  0.301
In  0.000  0.500  0.699
In  0.500  0.000  0.301
In  0.500  0.000  0.699
In  0.500  0.500  0.000
Rh  0.000  0.000  0.500


Record 3
Crystalline K2InSbCl6 at its relaxed geometry, computed with PBE.

**Total energy**: -32.78 eV per cell
**Symmetry**: Fm-3m
**ΔH_f (0 K)**: -1627 meV per atom

abc: 7.931 7.931 7.931
angles: 60.00 60.00 60.00
Positions (direct):
K  0.250  0.250  0.250
K  0.750  0.750  0.750
In  0.000  0.000  0.000
Sb  0.500  0.500  0.500
Cl  0.262  0.262  0.738
Cl  0.262  0.738  0.262
Cl  0.262  0.738  0.738
Cl  0.738  0.262  0.262
Cl  0.738  0.262  0.738
Cl  0.738  0.738  0.262


Record 4
Crystalline Na2BeF4 at its relaxed geometry, computed with PBE.

**Total energy**: -140.22 eV per cell
**Symmetry**: P2_1/c
**Offset from the most stable computed form**: 3 meV/atom
**ΔH_f (0 K)**: -3266 meV per atom

abc: 5.630 8.107 8.978
angles: 90.00 118.31 90.00
Positions (direct):
Na  0.089  0.157  0.375
Na  0.089  0.343  0.875
Na  0.356  0.014  0.137
Na  0.356  0.486  0.637
Na  0.644  0.514  0.363
Na  0.644  0.986  0.863
Na  0.911  0.657  0.125
Na  0.911  0.843  0.625
Be  0.254  0.697  0.962
Be  0.254  0.803  0.462
Be  0.746  0.197  0.538
Be  0.746  0.303  0.038
F  0.016  0.682  0.432
F  0.016  0.818  0.932
F  0.177  0.607  0.793
F  0.177  0.893  0.293
F  0.288  0.570  0.101
F  0.288  0.930  0.601
F  0.484  0.195  0.980
F  0.484  0.305  0.480
F  0.516  0.695  0.520
F  0.516  0.805  0.020
F  0.712  0.070  0.399
F  0.712  0.430  0.899
F  0.823  0.107  0.707
F  0.823  0.393  0.207
F  0.984  0.182  0.068
F  0.984  0.318  0.568


Record 5
Crystalline Na3BiF6 at its relaxed geometry, computed with PBE.

**Total energy**: -44.33 eV per cell
**Symmetry**: P-1
**Offset from the most stable computed form**: 0 meV/atom
**ΔH_f (0 K)**: -2775 meV per atom

abc: 5.536 6.440 6.813
angles: 62.72 72.15 86.85
Positions (direct):
Na  0.000  0.000  0.000
Na  0.000  0.500  0.000
Na  0.500  0.000  0.500
Bi  0.000  0.500  0.500
F  0.166  0.728  0.615
F  0.220  0.685  0.105
F  0.250  0.212  0.638
F  0.750  0.788  0.362
F  0.780  0.315  0.895
F  0.834  0.272  0.385


Record 6
Crystalline Li3Co at its relaxed geometry, computed with PBE.

**Total energy**: -23.05 eV per cell
**Symmetry**: P6_3/mmc
**ΔH_f (0 K)**: 328 meV per atom

abc: 5.295 5.295 4.428
angles: 90.00 90.00 120.00
Positions (direct):
Li  0.174  0.348  0.250
Li  0.174  0.826  0.250
Li  0.348  0.174  0.750
Li  0.652  0.826  0.250
Li  0.826  0.174  0.750
Li  0.826  0.652  0.750
Co  0.333  0.667  0.750
Co  0.667  0.333  0.250


Record 7
Crystalline YCuSi2Ni at its relaxed geometry, computed with PBE.

**Total energy**: -61.59 eV per cell
**Symmetry**: I-4m2
**ΔH_f (0 K)**: -719 meV per atom

abc: 3.981 3.981 9.809
angles: 90.00 90.00 90.00
Positions (direct):
Y  0.000  0.000  0.000
Y  0.500  0.500  0.500
Cu  0.000  0.500  0.750
Cu  0.500  0.000  0.250
Si  0.000  0.000  0.378
Si  0.000  0.000  0.622
Si  0.500  0.500  0.122
Si  0.500  0.500  0.878
Ni  0.000  0.500  0.250
Ni  0.500  0.000  0.750


Record 8
Crystalline CaCdO2 at its relaxed geometry, computed with PBE.

**Total energy**: -20.86 eV per cell
**Symmetry**: P4/mmm
**ΔH_f (0 K)**: -2354 meV per atom

abc: 3.400 3.400 4.803
angles: 90.00 90.00 90.00
Positions (direct):
Ca  0.000  0.000  0.000
Cd  0.500  0.500  0.500
O  0.000  0.000  0.500
O  0.500  0.500  0.000


Record 9
Crystalline Ta2SnO6 at its relaxed geometry, computed with PBE.

**Total energy**: -160.32 eV per cell
**Symmetry**: Cc
**Largest piezoelectric modulus**: 2.7 C/m²
**ΔH_f (0 K)**: -2985 meV per atom

abc: 9.057 9.057 5.622
angles: 91.38 91.38 31.54
Positions (direct):
Ta  0.244  0.756  0.500
Ta  0.415  0.904  0.172
Ta  0.756  0.244  0.000
Ta  0.904  0.415  0.672
Sn  0.060  0.599  0.073
Sn  0.599  0.060  0.573
O  0.110  0.989  0.189
O  0.151  0.222  0.412
O  0.222  0.151  0.912
O  0.432  0.517  0.766
O  0.517  0.432  0.266
O  0.552  0.671  0.483
O  0.671  0.552  0.983
O  0.675  0.839  0.236
O  0.820  0.987  0.931
O  0.839  0.675  0.736
O  0.987  0.820  0.431
O  0.989  0.110  0.689


Record 10
Crystalline SrLiU2O6 at its relaxed geometry, computed with PBE.

**Total energy**: -84.46 eV per cell
**Symmetry**: P1
**Offset from the most stable computed form**: 5 meV/atom
**ΔH_f (0 K)**: -3271 meV per atom

abc: 4.000 5.582 6.660
angles: 114.67 107.45 90.02
Positions (direct):
Sr  0.000  0.000  0.000
Li  0.667  0.167  0.331
U  0.354  0.352  0.705
U  0.675  0.681  0.360
O  0.189  0.442  0.382
O  0.190  0.939  0.383
O  0.520  0.290  0.042
O  0.520  0.752  0.042
O  0.828  0.561  0.661
O  0.829  0.102  0.662


Record 11
Crystalline Ca3Ge4Ir4 at its relaxed geometry, computed with PBE.

**Total energy**: -67.26 eV per cell
**Symmetry**: I-43m
**ΔH_f (0 K)**: -672 meV per atom

abc: 6.629 6.629 6.629
angles: 109.47 109.47 109.47
Positions (direct):
Ca  0.000  0.500  0.500
Ca  0.500  0.000  0.500
Ca  0.500  0.500  0.000
Ge  0.000  0.000  0.625
Ge  0.000  0.625  0.000
Ge  0.375  0.375  0.375
Ge  0.625  0.000  0.000
Ir  0.000  0.000  0.268
Ir  0.000  0.268  0.000
Ir  0.268  0.000  0.000
Ir  0.732  0.732  0.732


Record 12
Crystalline Mg16Si8HO32 at its relaxed geometry, computed with PBE.

**Total energy**: -386.37 eV per cell
**Symmetry**: P1
**Offset from the most stable computed form**: 0 meV/atom
**ΔH_f (0 K)**: -3116 meV per atom

abc: 6.062 9.615 10.333
angles: 89.98 89.99 90.00
Positions (direct):
Mg  0.000  0.000  0.000
Mg  0.000  0.240  0.500
Mg  0.000  0.496  0.999
Mg  0.000  0.738  0.502
Mg  0.250  0.243  0.223
Mg  0.250  0.493  0.722
Mg  0.250  0.744  0.223
Mg  0.250  0.993  0.721
Mg  0.500  0.247  0.945
Mg  0.500  0.489  0.445
Mg  0.500  0.747  0.946
Mg  0.500  0.989  0.446
Mg  0.750  0.243  0.223
Mg  0.750  0.493  0.722
Mg  0.750  0.744  0.223
Mg  0.750  0.993  0.721
Si  0.000  0.280  0.815
Si  0.000  0.457  0.315
Si  0.000  0.780  0.819
Si  0.000  0.957  0.319
Si  0.500  0.030  0.129
Si  0.500  0.206  0.629
Si  0.500  0.529  0.131
Si  0.500  0.706  0.629
H  0.998  0.734  0.018
O  0.000  0.110  0.814
O  0.000  0.127  0.317
O  0.000  0.354  0.669
O  0.000  0.381  0.169
O  0.000  0.610  0.812
O  0.000  0.627  0.313
O  0.000  0.854  0.671
O  0.000  0.886  0.172
O  0.216  0.354  0.885
O  0.217  0.383  0.385
O  0.217  0.882  0.387
O  0.220  0.857  0.884
O  0.283  0.132  0.559
O  0.284  0.105  0.060
O  0.284  0.631  0.560
O  0.285  0.602  0.060
O  0.500  0.103  0.276
O  0.500  0.132  0.775
O  0.500  0.359  0.133
O  0.500  0.376  0.631
O  0.500  0.605  0.276
O  0.500  0.632  0.776
O  0.500  0.860  0.131
O  0.500  0.876  0.630
O  0.714  0.602  0.060
O  0.716  0.105  0.060
O  0.716  0.631  0.560
O  0.717  0.132  0.559
O  0.780  0.857  0.884
O  0.783  0.354  0.885
O  0.783  0.383  0.385
O  0.783  0.882  0.387